Material: LiBS4O14
Method: DFT, PBE-GGA
State: relaxed

Unit cell a=11.066 b=11.118 c=18.303 alpha=90.00 beta=90.00 gamma=90.00
Element x y z (fractional)
O1 0.798 0.424 0.940
O2 0.706 0.788 0.061
O3 0.605 0.915 0.709
O4 0.723 0.373 0.643
O5 0.574 0.244 0.583
O6 0.664 0.749 0.358
O7 0.354 0.542 0.934
O8 0.138 0.969 0.997
O9 0.625 0.346 0.333
O10 0.849 0.816 0.963
O11 0.875 0.654 0.833
O12 0.824 0.422 0.374
O13 0.491 0.103 0.108
O14 0.812 0.135 0.331
O15 0.509 0.603 0.392
O16 0.799 0.836 0.602
O17 0.599 0.149 0.223
O18 0.378 0.587 0.559
O19 0.312 0.365 0.669
O20 0.836 0.251 0.858
O21 0.702 0.576 0.440
O22 0.972 0.658 0.196
O23 0.915 0.162 0.971
O24 0.558 0.046 0.811
O25 0.472 0.842 0.804
O26 0.320 0.057 0.192
O27 0.413 0.882 0.593
O28 0.375 0.846 0.167
O29 0.680 0.557 0.308
O30 0.401 0.649 0.277
O31 0.701 0.164 0.102
O32 0.009 0.897 0.608
O33 0.688 0.865 0.831
O34 0.211 0.680 0.803
O35 0.676 0.578 0.874
O36 0.277 0.873 0.857
O37 0.068 0.829 0.389
O38 0.878 0.913 0.441
O39 0.223 0.127 0.357
O40 0.087 0.118 0.093
O41 0.387 0.461 0.141
O42 0.066 0.822 0.861
O43 0.820 0.443 0.808
O44 0.432 0.171 0.889
O45 0.777 0.627 0.143
O46 0.349 0.684 0.037
O47 0.794 0.212 0.561
O48 0.395 0.415 0.791
O49 0.585 0.838 0.471
O50 0.651 0.184 0.463
O51 0.050 0.044 0.418
O52 0.587 0.382 0.907
O53 0.934 0.322 0.639
O54 0.926 0.756 0.083
O55 0.362 0.031 0.497
O56 0.942 0.954 0.311
O57 0.294 0.288 0.439
O58 0.434 0.178 0.361
O59 0.113 0.539 0.641
O60 0.785 0.398 0.243
O61 0.715 0.602 0.743
O62 0.164 0.751 0.642
O63 0.202 0.924 0.560
O64 0.028 0.158 0.304
O65 0.862 0.469 0.503
O66 0.215 0.898 0.257
O67 0.289 0.320 0.303
O68 0.099 0.351 0.777
O69 0.932 0.329 0.111
O70 0.550 0.456 0.582
O71 0.528 0.342 0.696
O72 0.336 0.249 0.142
O73 0.299 0.664 0.398
O74 0.450 0.956 0.918
O75 0.049 0.185 0.862
O76 0.451 0.815 0.362
O77 0.125 0.154 0.667
O78 0.711 0.820 0.197
O79 0.901 0.851 0.723
O80 0.105 0.585 0.291
O81 0.146 0.458 0.434
O82 0.058 0.454 0.189
O83 0.854 0.958 0.066
O84 0.442 0.546 0.689
O85 0.549 0.315 0.138
O86 0.789 0.180 0.697
O87 0.201 0.336 0.898
O88 0.206 0.712 0.939
O89 0.638 0.531 0.003
O90 0.913 0.618 0.407
O91 0.415 0.338 0.029
O92 0.151 0.316 0.537
O93 0.951 0.685 0.638
O94 0.176 0.922 0.126
O95 0.895 0.085 0.209
O96 0.613 0.961 0.359
O97 0.566 0.678 0.139
O98 0.285 0.102 0.757
O99 0.568 0.671 0.611
O100 0.887 0.039 0.859
O101 0.085 0.662 0.529
O102 0.950 0.544 0.082
O103 0.188 0.635 0.169
O104 0.298 0.076 0.060
O105 0.622 0.087 0.941
O106 0.074 0.256 0.417
O107 0.426 0.744 0.917
O108 0.991 0.397 0.892
O109 0.122 0.413 0.059
O110 0.646 0.042 0.566
O111 0.324 0.078 0.626
O112 0.180 0.943 0.692
S1 0.841 0.839 0.039
S2 0.779 0.577 0.808
S3 0.984 0.926 0.397
S4 0.016 0.426 0.103
S5 0.595 0.174 0.146
S6 0.086 0.651 0.607
S7 0.516 0.074 0.897
S8 0.409 0.408 0.714
S9 0.834 0.529 0.437
S10 0.405 0.674 0.354
S11 0.095 0.326 0.854
S12 0.334 0.971 0.563
S13 0.683 0.730 0.144
S14 0.484 0.574 0.603
S15 0.183 0.770 0.856
S16 0.279 0.923 0.192
S17 0.591 0.908 0.786
S18 0.817 0.270 0.644
S19 0.414 0.349 0.107
S20 0.905 0.826 0.646
S21 0.666 0.471 0.937
S22 0.317 0.230 0.356
S23 0.341 0.661 0.961
S24 0.909 0.092 0.286
S25 0.721 0.423 0.308
S26 0.914 0.151 0.893
S27 0.091 0.592 0.214
S28 0.586 0.849 0.393
S29 0.659 0.161 0.539
S30 0.159 0.339 0.461
S31 0.166 0.029 0.063
S32 0.221 0.077 0.692
B1 0.139 0.879 0.626
B2 0.639 0.621 0.374
B3 0.906 0.646 0.126
B4 0.594 0.354 0.626
B5 0.361 0.121 0.126
B6 0.406 0.854 0.874
B7 0.861 0.379 0.874
B8 0.094 0.146 0.374
Li1 0.380 0.654 0.153
Li2 0.120 0.346 0.653
Li3 0.880 0.846 0.847
Li4 0.606 0.860 0.593
Li5 0.894 0.140 0.093
Li6 0.394 0.360 0.907
Li7 0.106 0.640 0.407
Li8 0.620 0.154 0.347



Material: LiBS2O8
Method: DFT, PBE-GGA
State: relaxed

Unit cell a=9.554 b=7.793 c=8.580 alpha=87.68 beta=90.00 gamma=90.00
Element x y z (fractional)
S1 0.942 0.646 0.403
S2 0.612 0.121 0.679
S3 0.058 0.646 0.903
S4 0.388 0.121 0.179
S5 0.162 0.084 0.621
S6 0.838 0.084 0.121
S7 0.624 0.572 0.986
S8 0.376 0.572 0.486
O1 0.677 0.575 0.828
O2 0.553 0.213 0.820
O3 0.018 0.090 0.572
O4 0.478 0.096 0.583
O5 0.034 0.465 0.936
O6 0.323 0.575 0.328
O7 0.930 0.751 0.954
O8 0.982 0.090 0.072
O9 0.196 0.160 0.766
O10 0.425 0.391 0.540
O11 0.186 0.718 0.961
O12 0.522 0.096 0.083
O13 0.814 0.718 0.461
O14 0.575 0.391 0.040
O15 0.966 0.465 0.436
O16 0.339 0.951 0.224
O17 0.511 0.687 0.019
O18 0.447 0.213 0.320
O19 0.070 0.751 0.454
O20 0.752 0.171 0.987
O21 0.489 0.687 0.519
O22 0.292 0.234 0.096
O23 0.661 0.951 0.724
O24 0.782 0.898 0.129
O25 0.804 0.160 0.266
O26 0.254 0.597 0.603
O27 0.956 0.685 0.226
O28 0.218 0.898 0.629
O29 0.708 0.234 0.596
O30 0.248 0.171 0.487
O31 0.044 0.685 0.726
O32 0.746 0.597 0.103
Li1 0.876 0.238 0.466
Li2 0.124 0.238 0.966
Li3 0.668 0.722 0.631
Li4 0.332 0.722 0.131
B1 0.147 0.733 0.603
B2 0.602 0.219 0.983
B3 0.853 0.733 0.103
B4 0.398 0.219 0.483



Material: Li6Sn2B4SO16
Method: DFT, PBE-GGA
State: relaxed

Unit cell a=9.567 b=9.567 c=9.567 alpha=60.00 beta=60.00 gamma=60.00
Element x y z (fractional)
O1 0.790 0.543 0.254
O2 0.064 0.064 0.808
O3 0.186 0.186 0.442
O4 0.254 0.790 0.543
O5 0.064 0.064 0.064
O6 0.460 0.837 0.707
O7 0.996 0.707 0.837
O8 0.186 0.442 0.186
O9 0.413 0.543 0.790
O10 0.543 0.413 0.254
O11 0.413 0.254 0.543
O12 0.837 0.996 0.707
O13 0.254 0.413 0.790
O14 0.996 0.460 0.707
O15 0.442 0.186 0.186
O16 0.460 0.996 0.837
O17 0.707 0.996 0.460
O18 0.413 0.790 0.254
O19 0.837 0.460 0.996
O20 0.790 0.413 0.543
O21 0.837 0.707 0.460
O22 0.808 0.064 0.064
O23 0.707 0.460 0.837
O24 0.460 0.707 0.996
O25 0.543 0.790 0.413
O26 0.707 0.837 0.996
O27 0.186 0.186 0.186
O28 0.543 0.254 0.790
O29 0.254 0.543 0.413
O30 0.996 0.837 0.460
O31 0.790 0.254 0.413
O32 0.064 0.808 0.064
B1 0.847 0.847 0.459
B2 0.403 0.403 0.791
B3 0.403 0.791 0.403
B4 0.847 0.459 0.847
B5 0.459 0.847 0.847
B6 0.847 0.847 0.847
B7 0.403 0.403 0.403
B8 0.791 0.403 0.403
Li1 0.783 0.217 0.217
Li2 0.217 0.783 0.217
Li3 0.217 0.783 0.783
Li4 0.467 0.033 0.033
Li5 0.783 0.783 0.217
Li6 0.033 0.033 0.467
Li7 0.033 0.467 0.033
Li8 0.033 0.467 0.467
Li9 0.217 0.217 0.783
Li10 0.467 0.033 0.467
Li11 0.783 0.217 0.783
Li12 0.467 0.467 0.033
Sn1 0.625 0.125 0.625
Sn2 0.625 0.625 0.125
Sn3 0.625 0.625 0.625
Sn4 0.125 0.625 0.625
S1 0.250 0.250 0.250
S2 0.000 0.000 0.000



Material: LiB2SbO6
Method: DFT, PBE-GGA
State: relaxed

Unit cell a=8.980 b=5.133 c=11.298 alpha=72.79 beta=90.00 gamma=90.00
Element x y z (fractional)
O1 0.502 0.925 0.819
O2 0.846 0.300 0.103
O3 0.154 0.700 0.897
O4 0.111 0.214 0.915
O5 0.340 0.410 0.846
O6 0.840 0.590 0.654
O7 0.346 0.700 0.397
O8 0.889 0.786 0.085
O9 0.611 0.786 0.585
O10 0.854 0.118 0.455
O11 0.389 0.214 0.415
O12 0.002 0.075 0.681
O13 0.646 0.118 0.955
O14 0.354 0.882 0.045
O15 0.146 0.882 0.545
O16 0.660 0.590 0.154
O17 0.265 0.081 0.686
O18 0.765 0.919 0.814
O19 0.235 0.081 0.186
O20 0.654 0.300 0.603
O21 0.160 0.410 0.346
O22 0.735 0.919 0.314
O23 0.498 0.075 0.181
O24 0.998 0.925 0.319
Li1 0.539 0.930 0.393
Li2 0.461 0.070 0.607
Li3 0.961 0.930 0.893
Li4 0.039 0.070 0.107
B1 0.135 0.016 0.634
B2 0.198 0.452 0.885
B3 0.365 0.016 0.134
B4 0.635 0.984 0.866
B5 0.302 0.452 0.385
B6 0.865 0.984 0.366
B7 0.698 0.548 0.615
B8 0.802 0.548 0.115
Sb1 0.301 0.014 0.869
Sb2 0.699 0.986 0.131
Sb3 0.199 0.014 0.369
Sb4 0.801 0.986 0.631



Material: Li6B3SbO9
Method: DFT, PBE-GGA
State: relaxed

Unit cell a=16.714 b=6.778 c=7.292 alpha=74.97 beta=90.00 gamma=90.00
Element x y z (fractional)
O1 0.336 0.450 0.007
O2 0.911 0.590 0.531
O3 0.589 0.090 0.531
O4 0.195 0.782 0.574
O5 0.929 0.460 0.870
O6 0.305 0.282 0.574
O7 0.924 0.076 0.605
O8 0.053 0.175 0.914
O9 0.576 0.576 0.605
O10 0.313 0.806 0.853
O11 0.424 0.424 0.395
O12 0.700 0.941 0.736
O13 0.947 0.825 0.086
O14 0.187 0.306 0.853
O15 0.076 0.924 0.395
O16 0.089 0.410 0.469
O17 0.687 0.194 0.147
O18 0.800 0.441 0.736
O19 0.664 0.550 0.993
O20 0.836 0.050 0.993
O21 0.695 0.718 0.426
O22 0.433 0.236 0.721
O23 0.567 0.764 0.279
O24 0.164 0.950 0.007
O25 0.553 0.325 0.086
O26 0.571 0.960 0.870
O27 0.411 0.910 0.469
O28 0.067 0.736 0.721
O29 0.071 0.540 0.130
O30 0.813 0.694 0.147
O31 0.447 0.675 0.914
O32 0.200 0.559 0.264
O33 0.805 0.218 0.426
O34 0.933 0.264 0.279
O35 0.429 0.040 0.130
O36 0.300 0.059 0.264
Sb1 0.185 0.673 0.926
Sb2 0.315 0.173 0.926
Sb3 0.815 0.327 0.074
Sb4 0.685 0.827 0.074
Li1 0.704 0.050 0.428
Li2 0.707 0.633 0.712
Li3 0.451 0.415 0.145
Li4 0.003 0.323 0.071
Li5 0.031 0.169 0.456
Li6 0.969 0.831 0.544
Li7 0.463 0.944 0.698
Li8 0.497 0.823 0.071
Li9 0.963 0.556 0.302
Li10 0.049 0.915 0.145
Li11 0.531 0.331 0.544
Li12 0.207 0.867 0.288
Li13 0.469 0.669 0.456
Li14 0.951 0.085 0.855
Li15 0.204 0.450 0.572
Li16 0.549 0.585 0.855
Li17 0.793 0.133 0.712
Li18 0.503 0.177 0.929
Li19 0.293 0.367 0.288
Li20 0.296 0.950 0.572
Li21 0.537 0.056 0.302
Li22 0.037 0.444 0.698
Li23 0.997 0.677 0.929
Li24 0.796 0.550 0.428
B1 0.619 0.001 0.708
B2 0.634 0.352 0.082
B3 0.381 0.999 0.292
B4 0.613 0.684 0.442
B5 0.134 0.148 0.918
B6 0.113 0.816 0.558
B7 0.366 0.648 0.918
B8 0.387 0.316 0.558
B9 0.866 0.852 0.082
B10 0.881 0.501 0.708
B11 0.119 0.499 0.292
B12 0.887 0.184 0.442



Material: Li2SiBSbO7
Method: DFT, PBE-GGA
State: relaxed

Unit cell a=6.468 b=5.203 c=9.010 alpha=86.61 beta=90.00 gamma=90.00
Element x y z (fractional)
O1 0.750 0.140 0.409
O2 0.250 0.860 0.591
O3 0.554 0.187 0.676
O4 0.946 0.187 0.676
O5 0.250 0.412 0.471
O6 0.250 0.027 0.871
O7 0.250 0.295 0.088
O8 0.750 0.973 0.129
O9 0.054 0.813 0.324
O10 0.750 0.705 0.912
O11 0.446 0.813 0.324
O12 0.250 0.473 0.827
O13 0.750 0.527 0.173
O14 0.750 0.588 0.529
Sb1 0.750 0.787 0.335
Sb2 0.250 0.213 0.665
B1 0.750 0.735 0.056
B2 0.250 0.265 0.944
Li1 0.019 0.762 0.824
Li2 0.981 0.238 0.176
Li3 0.519 0.238 0.176
Li4 0.481 0.762 0.824
Si1 0.250 0.727 0.430
Si2 0.750 0.273 0.570



| no. | total DFT energy (no corrections) (eV per atom) | ΔH_f (0 K) (eV/atom) |
| --- | --- | --- |
| 1 | -6.15 | -1.908 |
| 2 | -6.37 | -2.121 |
| 3 | -6.53 | -2.446 |
| 4 | -6.90 | -2.402 |
| 5 | -6.36 | -2.462 |
| 6 | -6.69 | -2.529 |